# PBE GdCo2Ge2, relaxed
data_GdCo2Ge2
_cell_length_a 3.985
_cell_length_b 3.985
_cell_length_c 10.181
_cell_angle_alpha 90.00
_cell_angle_beta 90.00
_cell_angle_gamma 90.00
_symmetry_space_group_name_H-M 'I 4/m m m'
_symmetry_Int_Tables_number 139
_symmetry_space_group_name_Hall '-I 4 2'
loop_
_atom_site_label
_atom_site_type_symbol
_atom_site_fract_x
_atom_site_fract_y
_atom_site_fract_z
_atom_site_occupancy
Gd1 Gd 0.000 0.000 0.000 1
Co1 Co 0.000 0.500 0.250 1
Ge1 Ge 0.000 0.000 0.371 1
# **Calculated volume**: 161.6 Å³ per cell
# **ΔH_f (0 K)**: -0.61 eV per atom


# PBE Gd3Co2Ge4, relaxed
data_Gd3Co2Ge4
_cell_length_a 10.763
_cell_length_b 4.199
_cell_length_c 8.082
_cell_angle_alpha 90.00
_cell_angle_beta 107.60
_cell_angle_gamma 90.00
_symmetry_space_group_name_H-M 'C 1 2/m 1'
_symmetry_Int_Tables_number 12
_symmetry_space_group_name_Hall '-C 2y'
loop_
_atom_site_label
_atom_site_type_symbol
_atom_site_fract_x
_atom_site_fract_y
_atom_site_fract_z
_atom_site_occupancy
Gd1 Gd 0.000 0.000 0.000 1
Gd2 Gd 0.123 0.500 0.692 1
Co1 Co 0.193 0.500 0.373 1
Ge1 Ge 0.101 0.000 0.400 1
Ge2 Ge 0.211 0.500 0.080 1
# **Calculated volume**: 348.1 Å³ per cell
# **ΔH_f (0 K)**: -0.71 eV per atom


# PBE Gd3Co4Ge13, relaxed
data_Gd3Co4Ge13
_cell_length_a 8.781
_cell_length_b 8.781
_cell_length_c 8.781
_cell_angle_alpha 90.00
_cell_angle_beta 90.00
_cell_angle_gamma 90.00
_symmetry_space_group_name_H-M 'P m -3 n'
_symmetry_Int_Tables_number 223
_symmetry_space_group_name_Hall '-P 4n 2 3'
loop_
_atom_site_label
_atom_site_type_symbol
_atom_site_fract_x
_atom_site_fract_y
_atom_site_fract_z
_atom_site_occupancy
Gd1 Gd 0.000 0.250 0.500 1
Co1 Co 0.250 0.250 0.250 1
Ge1 Ge 0.000 0.000 0.000 1
Ge2 Ge 0.000 0.306 0.153 1
# **Calculated volume**: 677.0 Å³ per cell
# **ΔH_f (0 K)**: -0.42 eV per atom


# PBE GdCo10Mo2, relaxed
data_GdCo10Mo2
_cell_length_a 4.700
_cell_length_b 8.486
_cell_length_c 8.495
_cell_angle_alpha 90.00
_cell_angle_beta 90.00
_cell_angle_gamma 90.00
_symmetry_space_group_name_H-M 'I m m m'
_symmetry_Int_Tables_number 71
_symmetry_space_group_name_Hall '-I 2 2'
loop_
_atom_site_label
_atom_site_type_symbol
_atom_site_fract_x
_atom_site_fract_y
_atom_site_fract_z
_atom_site_occupancy
Gd1 Gd 0.000 0.000 0.000 1
Co1 Co 0.000 0.000 0.359 1
Co2 Co 0.000 0.280 0.500 1
Co3 Co 0.000 0.500 0.288 1
Co4 Co 0.250 0.250 0.250 1
Mo1 Mo 0.000 0.358 0.000 1
# **Calculated volume**: 338.8 Å³ per cell
# **ΔH_f (0 K)**: -0.03 eV per atom


# PBE Gd2CoNi3, relaxed
data_Gd2CoNi3
_cell_length_a 3.9620
_cell_length_b 3.9620
_cell_length_c 7.7825
_cell_angle_alpha 90.00
_cell_angle_beta 90.00
_cell_angle_gamma 120.00
_symmetry_space_group_name_H-M 'P -6 m 2'
_symmetry_Int_Tables_number 187
_symmetry_space_group_name_Hall 'P -6 2'
loop_
_atom_site_label
_atom_site_type_symbol
_atom_site_fract_x
_atom_site_fract_y
_atom_site_fract_z
_atom_site_occupancy
Gd1 Gd 0.0000 0.0000 0.2478 1
Co1 Co 0.3333 0.6667 0.0000 1
Ni1 Ni 0.3333 0.6667 0.5000 1
Ni2 Ni 0.6667 0.3333 0.0000 1
Ni3 Ni 0.6667 0.3333 0.5000 1
# **Calculated volume**: 105.8 Å³ per cell
# **ΔH_f (0 K)**: -0.30 eV per atom


# PBE GdCo2Si2, relaxed
data_GdCo2Si2
_cell_length_a 3.896
_cell_length_b 3.896
_cell_length_c 9.848
_cell_angle_alpha 90.00
_cell_angle_beta 90.00
_cell_angle_gamma 90.00
_symmetry_space_group_name_H-M 'I 4/m m m'
_symmetry_Int_Tables_number 139
_symmetry_space_group_name_Hall '-I 4 2'
loop_
_atom_site_label
_atom_site_type_symbol
_atom_site_fract_x
_atom_site_fract_y
_atom_site_fract_z
_atom_site_occupancy
Gd1 Gd 0.000 0.000 0.000 1
Co1 Co 0.000 0.500 0.250 1
Si1 Si 0.000 0.000 0.370 1
# **Calculated volume**: 149.5 Å³ per cell
# **ΔH_f (0 K)**: -0.78 eV per atom


# PBE GdCoSi, relaxed
data_GdCoSi
_cell_length_a 3.955
_cell_length_b 3.955
_cell_length_c 6.842
_cell_angle_alpha 90.00
_cell_angle_beta 90.00
_cell_angle_gamma 90.00
_symmetry_space_group_name_H-M 'P 4/n m m'
_symmetry_Int_Tables_number 129
loop_
_symmetry_equiv_pos_as_xyz
'x,y,z'
'-x,-y,-z'
'-y+1/2,x,z'
'y+1/2,-x,-z'
'-x+1/2,-y+1/2,z'
'x+1/2,y+1/2,-z'
'y,-x+1/2,z'
'-y,x+1/2,-z'
'x+1/2,-y,-z'
'-x+1/2,y,z'
'-y,-x,-z'
'y,x,z'
'-x,y+1/2,-z'
'x,-y+1/2,z'
'y+1/2,x+1/2,-z'
'-y+1/2,-x+1/2,z'
loop_
_atom_site_label
_atom_site_type_symbol
_atom_site_fract_x
_atom_site_fract_y
_atom_site_fract_z
_atom_site_occupancy
Gd1 Gd 0.250 0.250 0.180 1
Co1 Co 0.250 0.750 0.500 1
Si1 Si 0.250 0.250 0.684 1
# **Calculated volume**: 107.0 Å³ per cell
# **ΔH_f (0 K)**: -0.71 eV per atom


# PBE GdCo4Si, relaxed
data_GdCo4Si
_cell_length_a 5.0751
_cell_length_b 5.0751
_cell_length_c 3.7121
_cell_angle_alpha 90.00
_cell_angle_beta 90.00
_cell_angle_gamma 120.00
_symmetry_space_group_name_H-M 'P -6 m 2'
_symmetry_Int_Tables_number 187
_symmetry_space_group_name_Hall 'P -6 2'
loop_
_atom_site_label
_atom_site_type_symbol
_atom_site_fract_x
_atom_site_fract_y
_atom_site_fract_z
_atom_site_occupancy
Gd1 Gd 0.0000 0.0000 0.0000 1
Co1 Co 0.0001 0.5001 0.5000 1
Co2 Co 0.6667 0.3333 0.0000 1
Si1 Si 0.3333 0.6667 0.0000 1
# **Calculated volume**: 82.8 Å³ per cell
# **ΔH_f (0 K)**: -0.32 eV per atom